Record 1
A plane-wave DFT calculation with PBE was carried out for a relaxed CsSn2Cl5 crystal. Values from VASP.

Properties
- energy of formation from the pure elements (kJ/mol of formula units) = -1285.7

```
&SYSTEM
  ibrav = 0, nat = 16, ntyp = 3
/
ATOMIC_SPECIES
Cs 132.91 Cs.upf
Sn 118.71 Sn.upf
Cl 35.45 Cl.upf
CELL_PARAMETERS angstrom
-4.118 4.118 7.755
4.118 -4.118 7.755
4.118 4.118 -7.755
ATOMIC_POSITIONS crystal
Cs 0.750 0.750 0.000
Cs 0.250 0.250 0.000
Sn 0.682 0.182 0.864
Sn 0.182 0.318 0.500
Sn 0.818 0.682 0.500
Sn 0.318 0.818 0.136
Cl 0.957 0.457 0.171
Cl 0.714 0.214 0.171
Cl 0.043 0.543 0.829
Cl 0.543 0.714 0.500
Cl 0.214 0.043 0.500
Cl 0.457 0.286 0.500
Cl 0.000 0.000 0.000
Cl 0.500 0.500 0.000
Cl 0.286 0.786 0.829
Cl 0.786 0.957 0.500
```

---

Record 2
A plane-wave DFT calculation with PBE was carried out for a relaxed CsSrCl3 crystal. Values from VASP.

Properties
- energy of formation from the pure elements (kJ/mol of formula units) = -1281.0

```
&SYSTEM
  ibrav = 0, nat = 10, ntyp = 3
/
ATOMIC_SPECIES
Cs 132.91 Cs.upf
Sr 87.62 Sr.upf
Cl 35.45 Cl.upf
CELL_PARAMETERS angstrom
-2.422 7.027 3.151
-7.700 -2.234 -0.938
0.039 -2.333 5.234
ATOMIC_POSITIONS crystal
Cs 0.500 0.000 0.000
Cs 0.000 0.500 0.000
Sr 0.000 0.000 0.500
Sr 0.500 0.500 0.500
Cl 0.000 0.000 0.000
Cl 0.500 0.500 0.000
Cl 0.727 0.227 0.500
Cl 0.273 0.773 0.500
Cl 0.227 0.273 0.500
Cl 0.773 0.727 0.500
```

---

Record 3
A plane-wave DFT calculation with PBE was carried out for a relaxed CsSrCl3 crystal. Values from VASP.

Properties
- energy of formation from the pure elements (kJ/mol of formula units) = -1279.5

```
&SYSTEM
  ibrav = 0, nat = 5, ntyp = 3
/
ATOMIC_SPECIES
Cs 132.91 Cs.upf
Sr 87.62 Sr.upf
Cl 35.45 Cl.upf
CELL_PARAMETERS angstrom
5.729 0.000 0.000
0.000 5.729 0.000
0.000 0.000 5.729
ATOMIC_POSITIONS crystal
Cs 0.500 0.500 0.500
Sr 0.000 0.000 0.000
Cl 0.500 0.000 0.000
Cl 0.000 0.500 0.000
Cl 0.000 0.000 0.500
```

---

Record 4
A plane-wave DFT calculation with PBE was carried out for a relaxed CsSrCl3 crystal. Values from VASP.

Properties
- energy of formation from the pure elements (kJ/mol of formula units) = -1279.4

```
&SYSTEM
  ibrav = 0, nat = 5, ntyp = 3
/
ATOMIC_SPECIES
Cs 132.91 Cs.upf
Sr 87.62 Sr.upf
Cl 35.45 Cl.upf
CELL_PARAMETERS angstrom
0.438 0.539 5.688
5.500 -1.581 -0.289
1.559 5.478 -0.623
ATOMIC_POSITIONS crystal
Cs 0.998 0.998 0.004
Sr 0.500 0.500 0.513
Cl 0.000 0.496 0.517
Cl 0.507 0.507 0.013
Cl 0.496 0.000 0.517
```

---

Record 5
A plane-wave DFT calculation with PBE was carried out for a relaxed CsSrCl3 crystal. Values from VASP.

Properties
- energy of formation from the pure elements (kJ/mol of formula units) = -1285.7

```
&SYSTEM
  ibrav = 0, nat = 20, ntyp = 3
/
ATOMIC_SPECIES
Cs 132.91 Cs.upf
Sr 87.62 Sr.upf
Cl 35.45 Cl.upf
CELL_PARAMETERS angstrom
7.884 0.000 0.000
0.000 8.198 0.000
0.000 0.000 11.339
ATOMIC_POSITIONS crystal
Cs 0.018 0.441 0.250
Cs 0.982 0.559 0.750
Cs 0.518 0.059 0.750
Cs 0.482 0.941 0.250
Sr 0.000 0.000 0.000
Sr 0.500 0.500 0.000
Sr 0.000 0.000 0.500
Sr 0.500 0.500 0.500
Cl 0.295 0.209 0.041
Cl 0.705 0.791 0.959
Cl 0.795 0.291 0.959
Cl 0.705 0.791 0.541
Cl 0.205 0.709 0.041
Cl 0.295 0.209 0.459
Cl 0.205 0.709 0.459
Cl 0.795 0.291 0.541
Cl 0.580 0.521 0.250
Cl 0.420 0.479 0.750
Cl 0.080 0.979 0.750
Cl 0.920 0.021 0.250
```

---

Record 6
A plane-wave DFT calculation with PBE was carried out for a relaxed CsSrCl3 crystal. Values from VASP.

Properties
- piezoelectric modulus e_max (C/m²) = 0.5
- energy of formation from the pure elements (kJ/mol of formula units) = -1283.9

```
&SYSTEM
  ibrav = 0, nat = 10, ntyp = 3
/
ATOMIC_SPECIES
Cs 132.91 Cs.upf
Sr 87.62 Sr.upf
Cl 35.45 Cl.upf
CELL_PARAMETERS angstrom
6.909 -4.047 0.000
6.909 4.047 0.000
4.538 0.000 6.597
ATOMIC_POSITIONS crystal
Cs 0.733 0.733 0.733
Cs 0.233 0.233 0.233
Sr 0.994 0.994 0.994
Sr 0.494 0.494 0.494
Cl 0.756 0.177 0.312
Cl 0.177 0.312 0.756
Cl 0.312 0.756 0.177
Cl 0.812 0.677 0.256
Cl 0.256 0.812 0.677
Cl 0.677 0.256 0.812
```

---

Record 7
A plane-wave DFT calculation with PBE was carried out for a relaxed CsTb2Cl7 crystal. Values from VASP.

Properties
- energy of formation from the pure elements (kJ/mol of formula units) = -2610.7

```
&SYSTEM
  ibrav = 0, nat = 40, ntyp = 3
/
ATOMIC_SPECIES
Cs 132.91 Cs.upf
Tb 158.93 Tb.upf
Cl 35.45 Cl.upf
CELL_PARAMETERS angstrom
-6.198 1.796 2.869
4.130 -3.978 11.413
4.942 12.791 2.669
ATOMIC_POSITIONS crystal
Cs 0.250 0.804 0.041
Cs 0.750 0.196 0.959
Cs 0.750 0.304 0.459
Cs 0.250 0.696 0.541
Tb 0.250 0.460 0.237
Tb 0.750 0.540 0.763
Tb 0.750 0.960 0.263
Tb 0.250 0.040 0.737
Tb 0.250 0.156 0.250
Tb 0.750 0.844 0.750
Tb 0.750 0.656 0.250
Tb 0.250 0.344 0.750
Cl 0.013 0.306 0.178
Cl 0.987 0.694 0.822
Cl 0.987 0.806 0.322
Cl 0.513 0.694 0.822
Cl 0.013 0.194 0.678
Cl 0.487 0.306 0.178
Cl 0.487 0.194 0.678
Cl 0.513 0.806 0.322
Cl 0.009 0.575 0.127
Cl 0.991 0.425 0.873
Cl 0.991 0.075 0.373
Cl 0.509 0.425 0.873
Cl 0.009 0.925 0.627
Cl 0.491 0.575 0.127
Cl 0.491 0.925 0.627
Cl 0.509 0.075 0.373
Cl 0.009 0.040 0.138
Cl 0.991 0.960 0.862
Cl 0.991 0.540 0.362
Cl 0.509 0.960 0.862
Cl 0.009 0.460 0.638
Cl 0.491 0.040 0.138
Cl 0.491 0.460 0.638
Cl 0.509 0.540 0.362
Cl 0.250 0.311 0.385
Cl 0.750 0.689 0.615
Cl 0.750 0.811 0.115
Cl 0.250 0.189 0.885
```

---

Record 8
A plane-wave DFT calculation with PBE was carried out for a relaxed Cs2TcCl6 crystal. Values from VASP.

Properties
- energy of formation from the pure elements (kJ/mol of formula units) = -1560.0

```
&SYSTEM
  ibrav = 0, nat = 9, ntyp = 3
/
ATOMIC_SPECIES
Cs 132.91 Cs.upf
Tc 98.00 Tc.upf
Cl 35.45 Cl.upf
CELL_PARAMETERS angstrom
0.000 5.285 5.285
5.285 0.000 5.285
5.285 5.285 0.000
ATOMIC_POSITIONS crystal
Cs 0.250 0.250 0.250
Cs 0.750 0.750 0.750
Tc 0.000 0.000 0.000
Cl 0.775 0.225 0.225
Cl 0.225 0.775 0.775
Cl 0.225 0.775 0.225
Cl 0.775 0.225 0.775
Cl 0.225 0.225 0.775
Cl 0.775 0.775 0.225
```

---

Record 9
A plane-wave DFT calculation with PBE was carried out for a relaxed Cs2ThCl6 crystal. Values from VASP.

Properties
- energy of formation from the pure elements (kJ/mol of formula units) = -2235.0

```
&SYSTEM
  ibrav = 0, nat = 9, ntyp = 3
/
ATOMIC_SPECIES
Cs 132.91 Cs.upf
Th 232.04 Th.upf
Cl 35.45 Cl.upf
CELL_PARAMETERS angstrom
3.896 -6.748 0.000
3.896 6.748 0.000
0.000 0.000 6.238
ATOMIC_POSITIONS crystal
Cs 0.667 0.333 0.261
Cs 0.333 0.667 0.739
Th 0.000 0.000 0.000
Cl 0.833 0.167 0.763
Cl 0.833 0.666 0.763
Cl 0.334 0.167 0.763
Cl 0.167 0.833 0.237
Cl 0.167 0.334 0.237
Cl 0.666 0.833 0.237
```

---

Record 10
A plane-wave DFT calculation with PBE was carried out for a relaxed Cs11Tl6Cl29 crystal. Values from VASP.

Properties
- energy of formation from the pure elements (kJ/mol of formula units) = -7534.2

```
&SYSTEM
  ibrav = 0, nat = 46, ntyp = 3
/
ATOMIC_SPECIES
Cs 132.91 Cs.upf
Tl 204.38 Tl.upf
Cl 35.45 Cl.upf
CELL_PARAMETERS angstrom
10.469 -18.117 -7.249
13.926 -12.725 -11.598
6.842 1.036 6.722
ATOMIC_POSITIONS crystal
Cs 0.000 0.000 0.000
Cs 0.681 0.681 0.547
Cs 0.319 0.319 0.453
Cs 0.219 0.219 0.191
Cs 0.781 0.781 0.809
Cs 0.096 0.096 0.668
Cs 0.904 0.904 0.332
Cs 0.646 0.646 0.015
Cs 0.354 0.354 0.985
Cs 0.548 0.548 0.336
Cs 0.452 0.452 0.664
Tl 0.228 0.228 0.695
Tl 0.772 0.772 0.305
Tl 0.104 0.104 0.193
Tl 0.896 0.896 0.807
Tl 0.552 0.552 0.828
Tl 0.448 0.448 0.172
Cl 0.180 0.180 0.551
Cl 0.820 0.820 0.449
Cl 0.235 0.709 0.319
Cl 0.709 0.235 0.319
Cl 0.765 0.291 0.681
Cl 0.291 0.765 0.681
Cl 0.143 0.143 0.999
Cl 0.857 0.857 0.001
Cl 0.957 0.465 0.852
Cl 0.465 0.957 0.852
Cl 0.043 0.535 0.148
Cl 0.535 0.043 0.148
Cl 0.812 0.334 0.000
Cl 0.334 0.812 0.000
Cl 0.188 0.666 0.000
Cl 0.666 0.188 0.000
Cl 0.866 0.384 0.325
Cl 0.384 0.866 0.325
Cl 0.134 0.616 0.675
Cl 0.616 0.134 0.675
Cl 0.717 0.717 0.219
Cl 0.283 0.283 0.781
Cl 0.500 0.500 0.000
Cl 0.605 0.605 0.692
Cl 0.395 0.395 0.308
Cl 0.052 0.052 0.304
Cl 0.948 0.948 0.696
Cl 0.000 0.500 0.500
Cl 0.500 0.000 0.500
```

---

Record 11
A plane-wave DFT calculation with PBE was carried out for a relaxed CsTlCl3 crystal. Values from VASP.

Properties
- energy of formation from the pure elements (kJ/mol of formula units) = -799.0

```
&SYSTEM
  ibrav = 0, nat = 5, ntyp = 3
/
ATOMIC_SPECIES
Cs 132.91 Cs.upf
Tl 204.38 Tl.upf
Cl 35.45 Cl.upf
CELL_PARAMETERS angstrom
3.946 3.946 0.000
-3.946 3.946 0.000
0.000 0.002 5.580
ATOMIC_POSITIONS crystal
Cs 0.998 0.998 0.994
Tl 0.498 0.498 0.487
Cl 0.495 0.999 0.485
Cl 0.503 0.503 0.986
Cl 0.999 0.495 0.485
```

---

Record 12
A plane-wave DFT calculation with PBE was carried out for a relaxed CsTlCl3 crystal. Values from VASP.

Properties
- energy of formation from the pure elements (kJ/mol of formula units) = -811.8

```
&SYSTEM
  ibrav = 0, nat = 10, ntyp = 3
/
ATOMIC_SPECIES
Cs 132.91 Cs.upf
Tl 204.38 Tl.upf
Cl 35.45 Cl.upf
CELL_PARAMETERS angstrom
4.035 -6.513 2.381
-3.796 -7.032 0.714
1.500 -5.915 -5.208
ATOMIC_POSITIONS crystal
Cs 0.750 0.750 0.750
Cs 0.250 0.250 0.250
Tl 0.500 0.500 0.500
Tl 0.000 0.000 0.000
Cl 0.767 0.233 0.233
Cl 0.233 0.233 0.767
Cl 0.233 0.767 0.767
Cl 0.233 0.767 0.233
Cl 0.767 0.233 0.767
Cl 0.767 0.767 0.233
```

---

> Look up the energy of formation from the pure elements of the eleventh one.

-799.0 kJ/mol of formula units